Entry 1:
A plane-wave DFT calculation with PBE was carried out for a relaxed RbLiO3 crystal.

Lattice parameters (Å, degrees): 4.1794 4.1794 4.1794 90.00 90.00 90.00
Closest atoms and distances in Å follow each position.
Space group Pm-3m (No. 221)
Unique sites:
Rb (0.0000, 0.0000, 0.0000) [1 per cell]  12 O 2.96
Li (0.5000, 0.5000, 0.5000) [1 per cell]  6 O 2.09
O (0.0000, 0.5000, 0.5000) [3 per cell]  2 Li 2.09

Output
energy with MP2020 corrections	-0.3119	Ry per atom

=====

Entry 2:
A plane-wave DFT calculation with PBE was carried out for a relaxed IF7 crystal.

Lattice parameters (Å, degrees): 9.7880 8.8369 6.8279 90.00 90.00 90.00
Closest atoms and distances in Å follow each position.
Space group Aea2 (No. 41)
Unique sites:
I (0.0000, 0.0000, 0.0000) [4 per cell]  7 F 1.85-1.90
F (0.0000, 0.0000, 0.7213) [4 per cell]  1 I 1.90
F (0.0837, 0.0866, 0.2252) [8 per cell]  1 I 1.90
F (0.1046, 0.3258, 0.4984) [8 per cell]  1 I 1.85
F (0.1606, 0.1020, 0.9160) [8 per cell]  1 I 1.90

Output
offset from the most stable computed form	0.00	eV per formula unit
energy with MP2020 corrections	-0.2615	Ry per atom

=====

Entry 3:
A plane-wave DFT calculation with PBE was carried out for a relaxed TbNdFe14B crystal.

Lattice parameters (Å, degrees): 8.7520 8.7520 12.0669 90.00 90.00 90.00
Closest atoms and distances in Å follow each position.
Space group P4_2/mnm (No. 136)
Unique sites:
Tb (0.1439, 0.1439, 0.0000) [4 per cell]  1 B 2.85, 6 Fe 3.03-3.09
Nd (0.2336, 0.2336, 0.5000) [4 per cell]  16 Fe 3.04-3.22, 2 B 3.29
Fe (0.0000, 0.0000, 0.3857) [4 per cell]  2 B 2.08
Fe (0.0000, 0.5000, 0.0000) [4 per cell]  8 Fe 2.47-2.56
Fe (0.0363, 0.6404, 0.1760) [16 per cell]  10 Fe 2.38-2.63
Fe (0.0679, 0.7243, 0.3729) [16 per cell]  1 B 2.08
Fe (0.0970, 0.9030, 0.2029) [8 per cell]  8 Fe 2.38-2.63
Fe (0.1825, 0.1825, 0.2532) [8 per cell]  12 Fe 2.63-2.78
B (0.1260, 0.8740, 0.5000) [4 per cell]  6 Fe 2.08

=====

Entry 4:
A plane-wave DFT calculation with PBE was carried out for a relaxed UCo10Si2 crystal.

Lattice parameters (Å, degrees): 4.8330 11.3162 11.6387 90.00 90.00 90.00
Closest atoms and distances in Å follow each position.
Space group Fmmm (No. 69)
Unique sites:
U (0.0000, 0.0000, 0.0000) [4 per cell]  16 Co 2.82-3.08, 4 Si 3.15
Co (0.0000, 0.1121, 0.3856) [16 per cell]  2 Si 2.36, 7 Co 2.38-2.61
Co (0.0000, 0.1729, 0.1741) [16 per cell]  2 Si 2.46, 7 Co 2.48-2.61
Co (0.2500, 0.2500, 0.0000) [8 per cell]  10 Co 2.38-2.52
Si (0.2500, 0.0000, 0.2500) [8 per cell]  8 Co 2.36-2.46, 2 Si 2.42

Output
energy with MP2020 corrections	-0.5415	Ry per atom

=====

In order of appearance, VASP energy = -19.16; -100.90; -543.78; -383.66 eV/cell.
In order of appearance, theoretical density = 3.194; 2.923; 7.875; 9.219 g cm⁻³.
In order of appearance, energy relative to the elements = -0.6965; -1.6915; -0.0755; -0.1959 eV/atom.